# 1
{
  "formula": "Tm2MoO6",
  "functional": "GGA+U",
  "state": "optimized geometry",
  "cell": [[5.494, 8.168, 0.000], [-5.494, 8.168, 0.000], [0.000, 1.674, 5.059]],
  "species": ["Tm", "Tm", "Tm", "Tm", "Tm", "Tm", "Tm", "Tm", "Mo", "Mo", "Mo", "Mo", "O", "O", "O", "O", "O", "O", "O", "O", "O", "O", "O", "O", "O", "O", "O", "O", "O", "O", "O", "O", "O", "O", "O", "O"],
  "fractional_positions": [[0.551, 0.782, 0.623], [0.782, 0.551, 0.123], [0.449, 0.218, 0.377], [0.218, 0.449, 0.877], [0.863, 0.137, 0.250], [0.137, 0.863, 0.750], [0.395, 0.605, 0.250], [0.605, 0.395, 0.750], [0.296, 0.013, 0.061], [0.987, 0.704, 0.439], [0.704, 0.987, 0.939], [0.013, 0.296, 0.561], [0.610, 0.572, 0.922], [0.428, 0.390, 0.578], [0.390, 0.428, 0.078], [0.572, 0.610, 0.422], [0.338, 0.805, 0.919], [0.195, 0.662, 0.581], [0.662, 0.195, 0.081], [0.805, 0.338, 0.419], [0.326, 0.884, 0.377], [0.116, 0.674, 0.123], [0.674, 0.116, 0.623], [0.884, 0.326, 0.877], [0.187, 0.290, 0.636], [0.710, 0.813, 0.864], [0.813, 0.710, 0.364], [0.290, 0.187, 0.136], [0.049, 0.108, 0.513], [0.892, 0.951, 0.987], [0.433, 0.024, 0.751], [0.108, 0.049, 0.013], [0.024, 0.433, 0.251], [0.567, 0.976, 0.249], [0.976, 0.567, 0.749], [0.951, 0.892, 0.487]],
  "ef_ev_per_atom": -3.210,
  "crystal_system": "monoclinic"
}


# 2
{
  "formula": "Na2MnAsCO7",
  "functional": "GGA+U",
  "state": "optimized geometry",
  "cell": [[6.795, 0.000, 0.000], [0.000, 5.393, 0.000], [0.000, 0.349, 9.134]],
  "species": ["Na", "Na", "Na", "Na", "Mn", "Mn", "As", "As", "C", "C", "O", "O", "O", "O", "O", "O", "O", "O", "O", "O", "O", "O", "O", "O"],
  "fractional_positions": [[0.500, 0.769, 0.774], [0.000, 0.769, 0.774], [0.500, 0.231, 0.226], [0.000, 0.231, 0.226], [0.250, 0.222, 0.650], [0.750, 0.778, 0.350], [0.750, 0.293, 0.573], [0.250, 0.707, 0.427], [0.250, 0.280, 0.926], [0.750, 0.720, 0.074], [0.750, 0.726, 0.937], [0.250, 0.071, 0.852], [0.250, 0.479, 0.841], [0.951, 0.209, 0.676], [0.549, 0.209, 0.676], [0.250, 0.837, 0.594], [0.750, 0.617, 0.546], [0.250, 0.383, 0.454], [0.750, 0.163, 0.406], [0.451, 0.791, 0.324], [0.049, 0.791, 0.324], [0.750, 0.521, 0.159], [0.750, 0.929, 0.148], [0.250, 0.274, 0.063]],
  "ef_ev_per_atom": -1.993,
  "crystal_system": "monoclinic"
}


# 3
{
  "formula": "Li6VO5F",
  "functional": "GGA+U",
  "state": "optimized geometry",
  "cell": [[-5.557, 0.000, 0.000], [2.772, 4.886, 0.000], [-0.016, -0.030, -10.729]],
  "species": ["Li", "Li", "Li", "Li", "Li", "Li", "Li", "Li", "Li", "Li", "Li", "Li", "V", "V", "O", "O", "O", "O", "O", "O", "O", "O", "O", "O", "F", "F"],
  "fractional_positions": [[0.361, 0.322, 0.743], [0.647, 0.328, 0.429], [0.680, 0.329, 0.911], [0.975, 0.704, 0.762], [0.646, 0.986, 0.747], [0.985, 0.380, 0.636], [0.322, 0.957, 0.241], [0.987, 0.338, 0.250], [0.335, 0.657, 0.411], [0.323, 0.661, 0.928], [0.382, 0.392, 0.136], [0.708, 0.725, 0.261], [0.994, 0.998, 0.001], [0.002, 0.996, 0.500], [0.005, 0.021, 0.665], [0.291, 0.994, 0.443], [0.712, 0.704, 0.448], [0.697, 0.341, 0.734], [0.002, 0.710, 0.948], [0.989, 0.292, 0.453], [0.341, 0.641, 0.233], [0.296, 0.297, 0.953], [0.697, 0.986, 0.944], [0.018, 0.021, 0.165], [0.645, 0.336, 0.234], [0.306, 0.644, 0.734]],
  "ef_ev_per_atom": -2.433,
  "crystal_system": "triclinic"
}


# 4
{
  "formula": "SrCaMn2O6",
  "functional": "GGA+U",
  "state": "optimized geometry",
  "cell": [[5.430, 0.000, 0.000], [0.000, 5.468, 0.000], [0.000, 0.000, 7.683]],
  "species": ["Sr", "Sr", "Ca", "Ca", "Mn", "Mn", "Mn", "Mn", "O", "O", "O", "O", "O", "O", "O", "O", "O", "O", "O", "O"],
  "fractional_positions": [[0.012, 0.246, 0.500], [0.512, 0.754, 0.500], [0.994, 0.250, 0.000], [0.494, 0.750, 0.000], [0.501, 0.250, 0.754], [0.001, 0.750, 0.246], [0.501, 0.250, 0.246], [0.001, 0.750, 0.754], [0.229, 0.481, 0.785], [0.729, 0.519, 0.215], [0.769, 0.020, 0.267], [0.269, 0.980, 0.733], [0.769, 0.020, 0.733], [0.269, 0.980, 0.267], [0.229, 0.481, 0.215], [0.729, 0.519, 0.785], [0.498, 0.188, 0.000], [0.998, 0.812, 0.000], [0.497, 0.292, 0.500], [0.997, 0.708, 0.500]],
  "de_polymorph_mev_per_atom": 2,
  "ef_ev_per_atom": -2.458,
  "crystal_system": "orthorhombic"
}


# 5
{
  "formula": "Fe2O3",
  "functional": "GGA+U",
  "state": "optimized geometry",
  "cell": [[3.004, 5.183, 0.000], [-3.004, 5.183, 0.000], [0.000, 0.132, 14.609]],
  "species": ["Fe", "Fe", "Fe", "Fe", "Fe", "Fe", "Fe", "Fe", "Fe", "Fe", "Fe", "Fe", "Fe", "Fe", "Fe", "Fe", "O", "O", "O", "O", "O", "O", "O", "O", "O", "O", "O", "O", "O", "O", "O", "O", "O", "O", "O", "O", "O", "O", "O", "O"],
  "fractional_positions": [[0.340, 0.340, 0.050], [0.992, 0.992, 0.010], [0.833, 0.335, 0.164], [0.007, 0.007, 0.364], [0.335, 0.833, 0.164], [0.674, 0.674, 0.321], [0.503, 0.996, 0.499], [0.996, 0.503, 0.499], [0.334, 0.334, 0.676], [0.169, 0.660, 0.834], [0.329, 0.329, 0.284], [0.660, 0.169, 0.834], [0.503, 0.503, 0.499], [0.999, 0.999, 0.628], [0.169, 0.169, 0.835], [0.660, 0.660, 0.961], [0.686, 0.184, 0.086], [0.184, 0.686, 0.086], [0.014, 0.014, 0.237], [0.157, 0.157, 0.089], [0.354, 0.823, 0.415], [0.510, 0.510, 0.243], [0.481, 0.983, 0.248], [0.651, 0.651, 0.092], [0.667, 0.667, 0.562], [0.823, 0.354, 0.415], [0.827, 0.827, 0.412], [0.983, 0.481, 0.248], [0.176, 0.176, 0.579], [0.036, 0.482, 0.759], [0.175, 0.648, 0.579], [0.333, 0.333, 0.422], [0.333, 0.333, 0.917], [0.482, 0.036, 0.759], [0.482, 0.482, 0.758], [0.648, 0.175, 0.579], [0.841, 0.841, 0.921], [0.999, 0.999, 0.759], [0.846, 0.306, 0.918], [0.306, 0.846, 0.918]],
  "ef_ev_per_atom": -1.547,
  "crystal_system": "monoclinic"
}


# 6
{
  "formula": "SrNd2Fe2O7",
  "functional": "GGA+U",
  "state": "optimized geometry",
  "cell": [[0.469, -7.097, 7.818], [4.017, -3.080, 9.279], [-4.291, 6.415, -7.222]],
  "species": ["Sr", "Nd", "Nd", "Fe", "Fe", "O", "O", "O", "O", "O", "O", "O"],
  "fractional_positions": [[0.685, 0.685, 0.000], [0.508, 0.508, 0.000], [0.320, 0.320, 0.000], [0.903, 0.903, 0.000], [0.101, 0.101, 0.000], [0.899, 0.399, 0.500], [0.399, 0.899, 0.500], [0.091, 0.591, 0.500], [0.591, 0.091, 0.500], [0.801, 0.801, 0.000], [0.203, 0.203, 0.000], [0.999, 0.999, 0.000]],
  "ef_ev_per_atom": -2.762,
  "crystal_system": "tetragonal"
}


# 7
{
  "formula": "Li9Mn2Co5O16",
  "functional": "GGA+U",
  "state": "optimized geometry",
  "cell": [[-4.027, -1.097, 5.064], [-6.107, -1.158, -2.341], [-1.384, -7.506, 1.492]],
  "species": ["Li", "Li", "Li", "Li", "Li", "Li", "Li", "Li", "Li", "Mn", "Mn", "Co", "Co", "Co", "Co", "Co", "O", "O", "O", "O", "O", "O", "O", "O", "O", "O", "O", "O", "O", "O", "O", "O"],
  "fractional_positions": [[0.075, 0.433, 0.798], [0.685, 0.814, 0.937], [0.313, 0.194, 0.066], [0.923, 0.565, 0.203], [0.188, 0.317, 0.442], [0.812, 0.685, 0.559], [0.441, 0.063, 0.680], [0.561, 0.931, 0.314], [0.496, 0.503, 0.502], [0.003, 0.000, 0.997], [0.373, 0.623, 0.875], [0.748, 0.259, 0.739], [0.129, 0.868, 0.620], [0.876, 0.126, 0.377], [0.259, 0.739, 0.258], [0.624, 0.373, 0.134], [0.084, 0.145, 0.736], [0.692, 0.529, 0.856], [0.326, 0.893, 0.968], [0.966, 0.259, 0.090], [0.206, 0.024, 0.348], [0.844, 0.389, 0.480], [0.444, 0.778, 0.616], [0.579, 0.655, 0.214], [0.046, 0.731, 0.909], [0.684, 0.098, 0.017], [0.291, 0.481, 0.143], [0.924, 0.855, 0.262], [0.150, 0.610, 0.527], [0.794, 0.977, 0.653], [0.408, 0.365, 0.793], [0.555, 0.217, 0.387]],
  "de_polymorph_mev_per_atom": 37,
  "ef_ev_per_atom": -1.827,
  "crystal_system": "triclinic"
}


# 8
{
  "formula": "Li9Mn2Co5O16",
  "functional": "GGA+U",
  "state": "optimized geometry",
  "cell": [[5.886, 0.000, 0.000], [-1.526, 6.480, 0.000], [-1.517, -0.447, 7.531]],
  "species": ["Li", "Li", "Li", "Li", "Li", "Li", "Li", "Li", "Li", "Mn", "Mn", "Co", "Co", "Co", "Co", "Co", "O", "O", "O", "O", "O", "O", "O", "O", "O", "O", "O", "O", "O", "O", "O", "O"],
  "fractional_positions": [[0.871, 0.377, 0.124], [0.500, 0.994, 0.000], [0.251, 0.750, 0.248], [0.622, 0.125, 0.375], [0.001, 0.506, 0.498], [0.376, 0.869, 0.627], [0.746, 0.251, 0.752], [0.131, 0.626, 0.876], [0.625, 0.627, 0.875], [0.999, 0.996, 0.000], [0.873, 0.871, 0.627], [0.263, 0.260, 0.756], [0.500, 0.505, 0.507], [0.131, 0.126, 0.378], [0.736, 0.745, 0.235], [0.374, 0.375, 0.124], [0.834, 0.057, 0.181], [0.451, 0.693, 0.073], [0.203, 0.424, 0.302], [0.582, 0.812, 0.452], [0.953, 0.166, 0.571], [0.314, 0.546, 0.676], [0.719, 0.943, 0.812], [0.075, 0.296, 0.949], [0.943, 0.716, 0.062], [0.535, 0.309, 0.940], [0.288, 0.059, 0.180], [0.663, 0.442, 0.306], [0.038, 0.820, 0.442], [0.428, 0.194, 0.559], [0.814, 0.584, 0.677], [0.162, 0.937, 0.814]],
  "de_polymorph_mev_per_atom": 29,
  "ef_ev_per_atom": -1.835,
  "crystal_system": "triclinic"
}


# 9
{
  "formula": "Ni2P3O10",
  "functional": "GGA+U",
  "state": "optimized geometry",
  "cell": [[-7.661, 1.861, -2.718], [-1.813, -3.060, 3.014], [-1.104, 5.534, 6.902]],
  "species": ["Ni", "Ni", "Ni", "Ni", "P", "P", "P", "P", "P", "P", "O", "O", "O", "O", "O", "O", "O", "O", "O", "O", "O", "O", "O", "O", "O", "O", "O", "O", "O", "O"],
  "fractional_positions": [[0.932, 0.048, 0.667], [0.568, 0.048, 0.667], [0.432, 0.952, 0.333], [0.068, 0.952, 0.333], [0.750, 0.608, 0.461], [0.750, 0.470, 0.849], [0.250, 0.530, 0.151], [0.250, 0.392, 0.539], [0.250, 0.669, 0.816], [0.750, 0.331, 0.184], [0.750, 0.528, 0.022], [0.905, 0.167, 0.205], [0.595, 0.167, 0.205], [0.250, 0.218, 0.240], [0.095, 0.833, 0.795], [0.405, 0.833, 0.795], [0.750, 0.782, 0.760], [0.595, 0.773, 0.490], [0.905, 0.773, 0.490], [0.250, 0.704, 0.453], [0.097, 0.696, 0.177], [0.403, 0.696, 0.177], [0.095, 0.227, 0.510], [0.750, 0.592, 0.284], [0.250, 0.408, 0.716], [0.250, 0.472, 0.978], [0.903, 0.304, 0.823], [0.597, 0.304, 0.823], [0.750, 0.296, 0.547], [0.405, 0.227, 0.510]],
  "ef_ev_per_atom": -2.191,
  "crystal_system": "monoclinic"
}


# 10
{
  "formula": "Y2MnSi12O28",
  "functional": "GGA+U",
  "state": "optimized geometry",
  "cell": [[7.498, -10.666, 1.543], [-8.438, -7.261, 6.960], [2.767, 5.320, -11.680]],
  "species": ["Y", "Y", "Y", "Y", "Mn", "Mn", "Si", "Si", "Si", "Si", "Si", "Si", "Si", "Si", "Si", "Si", "Si", "Si", "Si", "Si", "Si", "Si", "Si", "Si", "Si", "Si", "Si", "Si", "Si", "Si", "O", "O", "O", "O", "O", "O", "O", "O", "O", "O", "O", "O", "O", "O", "O", "O", "O", "O", "O", "O", "O", "O", "O", "O", "O", "O", "O", "O", "O", "O", "O", "O", "O", "O", "O", "O", "O", "O", "O", "O", "O", "O", "O", "O", "O", "O", "O", "O", "O", "O", "O", "O", "O", "O", "O", "O"],
  "fractional_positions": [[0.977, 0.750, 0.227], [0.523, 0.750, 0.773], [0.023, 0.250, 0.773], [0.477, 0.250, 0.227], [0.750, 0.750, 0.000], [0.250, 0.250, 0.000], [0.928, 0.594, 0.817], [0.777, 0.111, 0.183], [0.723, 0.906, 0.334], [0.572, 0.389, 0.666], [0.072, 0.406, 0.183], [0.223, 0.889, 0.817], [0.277, 0.094, 0.666], [0.428, 0.611, 0.334], [0.228, 0.703, 0.228], [0.476, 0.001, 0.772], [0.024, 0.797, 0.525], [0.272, 0.499, 0.475], [0.772, 0.297, 0.772], [0.524, 0.999, 0.228], [0.976, 0.203, 0.475], [0.728, 0.501, 0.525], [0.130, 0.824, 0.954], [0.870, 0.176, 0.046], [0.630, 0.676, 0.307], [0.370, 0.324, 0.693], [0.331, 0.736, 0.067], [0.669, 0.264, 0.933], [0.831, 0.764, 0.595], [0.169, 0.236, 0.405], [0.920, 0.720, 0.018], [0.702, 0.902, 0.982], [0.798, 0.780, 0.200], [0.580, 0.598, 0.800], [0.080, 0.280, 0.982], [0.298, 0.098, 0.018], [0.202, 0.220, 0.800], [0.420, 0.402, 0.200], [0.107, 0.574, 0.065], [0.509, 0.042, 0.935], [0.991, 0.926, 0.533], [0.393, 0.458, 0.467], [0.893, 0.426, 0.935], [0.491, 0.958, 0.065], [0.009, 0.074, 0.467], [0.607, 0.542, 0.533], [0.963, 0.395, 0.694], [0.701, 0.269, 0.306], [0.799, 0.105, 0.568], [0.537, 0.231, 0.432], [0.037, 0.605, 0.306], [0.299, 0.731, 0.694], [0.201, 0.895, 0.432], [0.463, 0.769, 0.568], [0.303, 0.614, 0.257], [0.357, 0.046, 0.743], [0.143, 0.886, 0.690], [0.197, 0.454, 0.310], [0.697, 0.386, 0.743], [0.643, 0.954, 0.257], [0.857, 0.114, 0.310], [0.803, 0.546, 0.690], [0.011, 0.695, 0.838], [0.857, 0.173, 0.162], [0.643, 0.805, 0.317], [0.489, 0.327, 0.683], [0.989, 0.305, 0.162], [0.143, 0.827, 0.838], [0.357, 0.195, 0.683], [0.511, 0.673, 0.317], [0.301, 0.769, 0.202], [0.566, 0.098, 0.798], [0.934, 0.731, 0.532], [0.199, 0.402, 0.468], [0.699, 0.231, 0.798], [0.434, 0.902, 0.202], [0.066, 0.269, 0.468], [0.801, 0.598, 0.532], [0.226, 0.735, 0.961], [0.774, 0.265, 0.039], [0.726, 0.765, 0.491], [0.274, 0.235, 0.509], [0.364, 0.535, 0.898], [0.636, 0.465, 0.102], [0.864, 0.965, 0.829], [0.136, 0.035, 0.171]],
  "ef_ev_per_atom": -3.309,
  "crystal_system": "orthorhombic"
}


# 11
{
  "formula": "Li4Fe2Cu3Sn3O16",
  "functional": "GGA+U",
  "state": "optimized geometry",
  "cell": [[-4.142, 0.464, 4.379], [-4.104, -4.387, 0.675], [5.862, -4.619, 6.110]],
  "species": ["Li", "Li", "Li", "Li", "Fe", "Fe", "Cu", "Cu", "Cu", "Sn", "Sn", "Sn", "O", "O", "O", "O", "O", "O", "O", "O", "O", "O", "O", "O", "O", "O", "O", "O"],
  "fractional_positions": [[0.326, 0.326, 0.115], [0.019, 0.019, 0.009], [0.014, 0.014, 0.498], [0.662, 0.662, 0.602], [0.331, 0.331, 0.502], [0.662, 0.662, 0.014], [0.170, 0.170, 0.784], [0.829, 0.340, 0.287], [0.340, 0.829, 0.287], [0.660, 0.169, 0.785], [0.169, 0.660, 0.785], [0.830, 0.830, 0.287], [0.675, 0.164, 0.405], [0.482, 0.482, 0.655], [0.327, 0.327, 0.900], [0.007, 0.007, 0.685], [0.011, 0.011, 0.196], [0.164, 0.675, 0.405], [0.477, 0.037, 0.656], [0.037, 0.477, 0.656], [0.839, 0.839, 0.908], [0.171, 0.171, 0.397], [0.958, 0.516, 0.157], [0.516, 0.958, 0.157], [0.656, 0.656, 0.392], [0.834, 0.332, 0.903], [0.518, 0.518, 0.161], [0.332, 0.834, 0.903]],
  "ef_ev_per_atom": -1.648,
  "crystal_system": "monoclinic"
}


Which formula does entry 6 have?
SrNd2Fe2O7